[1]
Below is a relaxed structure of Rb2NiO2, with properties calculated at the GGA+U level.

Summary:
Its total energy after the MP2020 corrections is -4.793 eV per atom.

a b c (Å): 7.310 9.392 8.401
angles (deg): 63.43 73.30 97.38
Sites, in units of the cell vectors:
Rb (0.687, 0.672, 0.492)
Rb (0.687, 0.672, 0.992)
Rb (0.687, 0.172, 0.242)
Rb (0.687, 0.172, 0.742)
Rb (0.313, 0.328, 0.508)
Rb (0.313, 0.328, 0.008)
Rb (0.313, 0.828, 0.258)
Rb (0.313, 0.828, 0.758)
Ni (0.000, 0.500, 0.250)
Ni (0.000, 0.000, 0.500)
Ni (0.000, 0.500, 0.750)
Ni (0.000, 0.000, 0.000)
O (0.743, 0.436, 0.347)
O (0.743, 0.436, 0.847)
O (0.743, 0.936, 0.097)
O (0.743, 0.936, 0.597)
O (0.257, 0.564, 0.653)
O (0.257, 0.564, 0.153)
O (0.257, 0.064, 0.403)
O (0.257, 0.064, 0.903)

[2]
Below is a relaxed structure of MgMnV4O12, with properties calculated at the GGA+U level.

Summary:
Its total energy after the MP2020 corrections is -8.263 eV per atom. Its energy above the lowest structure with this stoichiometry is 0.012 eV per atom.

a b c (Å): 4.967 5.300 7.732
angles (deg): 96.27 90.83 90.24
Sites, in units of the cell vectors:
Mg (0.000, 0.000, 0.000)
Mn (0.503, 0.487, 0.005)
V (0.011, 0.552, 0.705)
V (0.507, 0.055, 0.703)
V (0.507, 0.087, 0.249)
V (0.998, 0.599, 0.250)
O (0.153, 0.624, 0.927)
O (0.172, 0.902, 0.234)
O (0.193, 0.296, 0.638)
O (0.286, 0.403, 0.243)
O (0.312, 0.801, 0.647)
O (0.369, 0.142, 0.930)
O (0.609, 0.096, 0.458)
O (0.692, 0.786, 0.126)
O (0.701, 0.420, 0.761)
O (0.785, 0.306, 0.131)
O (0.809, 0.921, 0.766)
O (0.896, 0.608, 0.456)

[3]
Below is a relaxed structure of Li9Si2NiO10, with properties calculated at the GGA+U level.

Summary:
Its total energy after the MP2020 corrections is -6.154 eV per atom.

a b c (Å): 5.306 5.960 15.383
angles (deg): 98.20 98.50 91.45
Sites, in units of the cell vectors:
Li (0.000, 0.000, 0.000)
Li (0.002, 0.713, 0.494)
Li (0.193, 0.052, 0.592)
Li (0.253, 0.336, 0.777)
Li (0.270, 0.479, 0.628)
Li (0.301, 0.827, 0.144)
Li (0.311, 0.302, 0.145)
Li (0.348, 0.129, 0.304)
Li (0.455, 0.488, 0.492)
Li (0.484, 0.929, 0.491)
Li (0.524, 0.226, 0.017)
Li (0.548, 0.777, 0.019)
Li (0.662, 0.596, 0.221)
Li (0.705, 0.246, 0.883)
Li (0.754, 0.398, 0.375)
Li (0.770, 0.928, 0.374)
Li (0.779, 0.390, 0.744)
Li (0.953, 0.537, 0.107)
Si (0.182, 0.490, 0.950)
Si (0.226, 0.633, 0.318)
Si (0.795, 0.250, 0.563)
Si (0.813, 0.085, 0.189)
Ni (0.532, 0.839, 0.676)
Ni (0.536, 0.785, 0.850)
O (0.122, 0.082, 0.188)
O (0.151, 0.726, 0.017)
O (0.173, 0.292, 0.015)
O (0.258, 0.588, 0.211)
O (0.336, 0.746, 0.567)
O (0.361, 0.430, 0.368)
O (0.379, 0.872, 0.366)
O (0.481, 0.513, 0.923)
O (0.490, 0.586, 0.746)
O (0.492, 0.235, 0.577)
O (0.539, 0.031, 0.783)
O (0.648, 0.985, 0.947)
O (0.683, 0.832, 0.141)
O (0.692, 0.295, 0.136)
O (0.737, 0.131, 0.289)
O (0.825, 0.453, 0.504)
O (0.858, 0.004, 0.507)
O (0.925, 0.646, 0.333)
O (0.993, 0.420, 0.857)
O (0.998, 0.290, 0.657)

[4]
Below is a relaxed structure of LiMn2Fe2P4O16, with properties calculated at the GGA+U level.

Summary:
Its total energy after the MP2020 corrections is -7.929 eV per atom. Its energy above the lowest structure with this stoichiometry is 0.000 eV per atom.

a b c (Å): 4.941 5.914 10.187
angles (deg): 89.96 89.98 89.97
Sites, in units of the cell vectors:
Li (0.000, 0.000, 0.000)
Mn (0.131, 0.499, 0.234)
Mn (0.588, 0.999, 0.183)
Fe (0.037, 0.000, 0.669)
Fe (0.540, 0.500, 0.720)
P (0.153, 0.000, 0.359)
P (0.481, 0.000, 0.845)
P (0.672, 0.500, 0.043)
P (0.989, 0.500, 0.547)
O (0.228, 0.001, 0.506)
O (0.295, 0.500, 0.571)
O (0.302, 0.200, 0.285)
O (0.302, 0.800, 0.286)
O (0.343, 0.202, 0.769)
O (0.343, 0.798, 0.769)
O (0.369, 0.500, 0.076)
O (0.394, 0.000, 0.989)
O (0.709, 0.500, 0.892)
O (0.793, 0.000, 0.831)
O (0.820, 0.288, 0.103)
O (0.821, 0.711, 0.104)
O (0.844, 0.298, 0.622)
O (0.844, 0.702, 0.622)
O (0.852, 0.000, 0.339)
O (0.920, 0.500, 0.401)

[5]
Below is a relaxed structure of LiAlVO4, with properties calculated at the GGA+U level.

Summary:
Its total energy after the MP2020 corrections is -7.705 eV per atom. Its energy above the lowest structure with this stoichiometry is 0.037 eV per atom.

a b c (Å): 8.728 8.728 8.728
angles (deg): 107.54 107.54 107.54
Sites, in units of the cell vectors:
Li (0.032, 0.430, 0.262)
Li (0.262, 0.032, 0.430)
Li (0.430, 0.262, 0.032)
Li (0.570, 0.738, 0.968)
Li (0.738, 0.968, 0.570)
Li (0.968, 0.570, 0.738)
Al (0.061, 0.284, 0.882)
Al (0.118, 0.939, 0.716)
Al (0.284, 0.882, 0.061)
Al (0.716, 0.118, 0.939)
Al (0.882, 0.061, 0.284)
Al (0.939, 0.716, 0.118)
V (0.219, 0.389, 0.633)
V (0.367, 0.781, 0.611)
V (0.389, 0.633, 0.219)
V (0.611, 0.367, 0.781)
V (0.633, 0.219, 0.389)
V (0.781, 0.611, 0.367)
O (0.084, 0.408, 0.752)
O (0.111, 0.169, 0.450)
O (0.150, 0.815, 0.837)
O (0.163, 0.850, 0.185)
O (0.169, 0.450, 0.111)
O (0.185, 0.163, 0.850)
O (0.218, 0.545, 0.525)
O (0.248, 0.916, 0.592)
O (0.408, 0.752, 0.084)
O (0.450, 0.111, 0.169)
O (0.455, 0.475, 0.782)
O (0.475, 0.782, 0.455)
O (0.525, 0.218, 0.545)
O (0.545, 0.525, 0.218)
O (0.550, 0.889, 0.831)
O (0.592, 0.248, 0.916)
O (0.752, 0.084, 0.408)
O (0.782, 0.455, 0.475)
O (0.815, 0.837, 0.150)
O (0.831, 0.550, 0.889)
O (0.837, 0.150, 0.815)
O (0.850, 0.185, 0.163)
O (0.889, 0.831, 0.550)
O (0.916, 0.592, 0.248)

[6]
Below is a relaxed structure of Li9Cr12Fe7O48, with properties calculated at the GGA+U level.

Summary:
Its total energy after the MP2020 corrections is -7.462 eV per atom.

a b c (Å): 5.111 10.391 17.522
angles (deg): 90.16 90.18 90.13
Sites, in units of the cell vectors:
Li (0.000, 0.000, 0.000)
Li (0.001, 0.337, 0.000)
Li (0.016, 0.660, 0.676)
Li (0.498, 0.169, 0.282)
Li (0.506, 0.000, 0.448)
Li (0.515, 0.665, 0.777)
Li (0.665, 0.173, 0.731)
Li (0.845, 0.669, 0.224)
Li (0.996, 0.495, 0.508)
Cr (0.032, 0.947, 0.321)
Cr (0.035, 0.390, 0.322)
Cr (0.035, 0.670, 0.032)
Cr (0.471, 0.890, 0.629)
Cr (0.474, 0.168, 0.919)
Cr (0.476, 0.447, 0.633)
Cr (0.523, 0.949, 0.132)
Cr (0.525, 0.388, 0.132)
Cr (0.527, 0.672, 0.422)
Cr (0.978, 0.449, 0.821)
Cr (0.979, 0.889, 0.820)
Cr (0.980, 0.167, 0.532)
Fe (0.003, 0.167, 0.174)
Fe (0.165, 0.171, 0.727)
Fe (0.343, 0.668, 0.226)
Fe (0.506, 0.847, 0.948)
Fe (0.508, 0.489, 0.948)
Fe (0.510, 0.346, 0.452)
Fe (0.996, 0.849, 0.503)
O (0.097, 0.808, 0.275)
O (0.099, 0.528, 0.276)
O (0.102, 0.669, 0.126)
O (0.148, 0.032, 0.509)
O (0.149, 0.793, 0.765)
O (0.154, 0.545, 0.768)
O (0.157, 0.420, 0.899)
O (0.159, 0.918, 0.898)
O (0.165, 0.292, 0.510)
O (0.188, 0.813, 0.599)
O (0.206, 0.523, 0.606)
O (0.209, 0.168, 0.973)
O (0.303, 0.023, 0.345)
O (0.313, 0.313, 0.349)
O (0.313, 0.670, 0.976)
O (0.330, 0.796, 0.444)
O (0.333, 0.046, 0.184)
O (0.335, 0.293, 0.184)
O (0.354, 0.916, 0.053)
O (0.358, 0.421, 0.052)
O (0.363, 0.541, 0.443)
O (0.404, 0.167, 0.825)
O (0.410, 0.027, 0.674)
O (0.412, 0.307, 0.678)
O (0.583, 0.812, 0.179)
O (0.584, 0.525, 0.180)
O (0.584, 0.672, 0.328)
O (0.635, 0.795, 0.684)
O (0.654, 0.038, 0.940)
O (0.655, 0.297, 0.940)
O (0.655, 0.543, 0.686)
O (0.657, 0.416, 0.554)
O (0.666, 0.918, 0.552)
O (0.697, 0.526, 0.847)
O (0.699, 0.813, 0.845)
O (0.704, 0.172, 0.480)
O (0.801, 0.028, 0.108)
O (0.802, 0.309, 0.109)
O (0.807, 0.681, 0.476)
O (0.850, 0.042, 0.267)
O (0.853, 0.796, 0.011)
O (0.854, 0.420, 0.399)
O (0.855, 0.915, 0.401)
O (0.856, 0.541, 0.011)
O (0.859, 0.292, 0.266)
O (0.920, 0.310, 0.775)
O (0.922, 0.169, 0.626)
O (0.923, 0.029, 0.773)